Arrangement one

Here is a relaxed structure of MgSi2 from the Materials Project. Energies are from PBE.

Unit cell a=5.165 b=5.665 c=7.689 alpha=84.14 beta=85.36 gamma=64.82
Space group P1 (No. 1)
One atom of each set of equivalent atoms:
Mg 0.000 0.000 0.000 x1
Mg 0.071 0.462 0.851 x1
Mg 0.246 0.254 0.505 x1
Mg 0.903 0.561 0.217 x1
Si 0.231 0.769 0.616 x1
Si 0.322 0.745 0.297 x1
Si 0.443 0.122 0.159 x1
Si 0.513 0.518 0.002 x1
Si 0.545 0.937 0.849 x1
Si 0.664 0.307 0.702 x1
Si 0.734 0.722 0.561 x1
Si 0.817 0.087 0.399 x1

Magnetization = 0.00 μB/cell


Arrangement two

Here is a relaxed structure of MgSi2 from the Materials Project. Energies are from PBE.

Unit cell a=3.748 b=5.571 c=11.519 alpha=91.67 beta=98.93 gamma=108.93
Space group P1 (No. 1)
One atom of each set of equivalent atoms:
Mg 0.000 0.000 0.000 x1
Mg 0.009 0.757 0.259 x1
Mg 0.532 0.252 0.811 x1
Mg 0.591 0.679 0.499 x1
Si 0.168 0.608 0.720 x1
Si 0.271 0.603 0.941 x1
Si 0.287 0.101 0.469 x1
Si 0.327 0.354 0.302 x1
Si 0.680 0.158 0.195 x1
Si 0.748 0.456 0.043 x1
Si 0.813 0.890 0.735 x1
Si 0.901 0.212 0.594 x1

Magnetization = 0.00 μB/cell


Least stable structure: arrangement one


Arrangement one

Here is a relaxed structure of Sm2MgSe4 from the Materials Project. Energies are from PBE.

Unit cell a=13.474 b=8.059 c=13.595 alpha=90.00 beta=90.00 gamma=90.00
Space group Pca2_1 (No. 29)
One atom of each set of equivalent atoms:
Sm 0.108 0.117 0.000 x4
Sm 0.127 0.618 0.641 x4
Sm 0.134 0.371 0.306 x4
Sm 0.134 0.871 0.307 x4
Mg 0.111 0.617 0.007 x4
Mg 0.126 0.121 0.635 x4
Se 0.011 0.120 0.194 x4
Se 0.023 0.629 0.182 x4
Se 0.032 0.620 0.444 x4
Se 0.045 0.128 0.453 x4
Se 0.210 0.121 0.814 x4
Se 0.211 0.620 0.837 x4
Se 0.230 0.368 0.093 x4
Se 0.232 0.871 0.091 x4

Magnetization = 0.00 μB/cell


Arrangement two

Here is a relaxed structure of Sm2MgSe4 from the Materials Project. Energies are from PBE.

Unit cell a=7.627 b=8.849 c=13.921 alpha=80.60 beta=84.43 gamma=89.95
Space group P-1 (No. 2)
One atom of each set of equivalent atoms:
Sm 0.132 0.444 0.199 x2
Sm 0.133 0.957 0.195 x2
Sm 0.259 0.128 0.499 x2
Sm 0.365 0.300 0.803 x2
Mg 0.251 0.622 0.504 x2
Mg 0.366 0.800 0.797 x2
Se 0.093 0.410 0.400 x2
Se 0.109 0.892 0.397 x2
Se 0.196 0.546 0.874 x2
Se 0.199 0.017 0.873 x2
Se 0.309 0.719 0.121 x2
Se 0.335 0.220 0.125 x2
Se 0.389 0.841 0.609 x2
Se 0.410 0.359 0.601 x2

Magnetization = 0.00 μB/cell


Least stable structure: arrangement two


Arrangement one

Here is a relaxed structure of Zn from the Materials Project. Energies are from PBE.

Unit cell a=2.6540 b=2.6540 c=22.2481 alpha=90.00 beta=90.00 gamma=120.00
Space group R-3m (No. 166, hexagonal axes)
One atom of each set of equivalent atoms:
Zn 0.0000 0.0000 0.0000 x3
Zn 0.0000 0.0000 0.2220 x6


Arrangement two

Here is a relaxed structure of Zn from the Materials Project. Energies are from PBE.

Unit cell a=3.138 b=3.138 c=3.138 alpha=90.00 beta=90.00 gamma=90.00
Space group Im-3m (No. 229)
One atom of each set of equivalent atoms:
Zn 0.000 0.000 0.000 x2

Magnetization = 0.00 μB/cell


Least stable structure: arrangement two


Arrangement one

Here is a relaxed structure of CaH2O2 from the Materials Project. Energies are from PBE.

Unit cell a=6.317 b=3.591 c=5.011 alpha=90.00 beta=97.25 gamma=90.00
Space group C2 (No. 5)
One atom of each set of equivalent atoms:
Ca 0.000 0.000 0.000 x2
H 0.211 0.587 0.417 x4
O 0.192 0.499 0.230 x4

Magnetization = 0.00 μB/cell
Piezoelectric modulus e_max = 1.32 C/m²


Arrangement two

Here is a relaxed structure of CaH2O2 from the Materials Project. Energies are from PBE.

Unit cell a=3.6196 b=3.6196 c=4.9339 alpha=90.00 beta=90.00 gamma=120.00
Space group P-3m1 (No. 164)
One atom of each set of equivalent atoms:
Ca 0.0000 0.0000 0.0000 x1
H 0.3333 0.6667 0.5691 x2
O 0.3333 0.6667 0.7666 x2


Least stable structure: arrangement one


Arrangement one

Here is a relaxed structure of Na3CuO2 from the Materials Project. Energies are from PBE.

Unit cell a=6.7295 b=6.7295 c=13.7627 alpha=90.00 beta=90.00 gamma=120.00
Space group R-3c (No. 167, hexagonal axes)
One atom of each set of equivalent atoms:
Na 0.0000 0.2591 0.2500 x18
Cu 0.0000 0.0000 0.0000 x6
O 0.0000 0.0000 0.1313 x12

Magnetization = 0.00 μB/cell


Arrangement two

Here is a relaxed structure of Na3CuO2 from the Materials Project. Energies are from PBE.

Unit cell a=10.965 b=10.989 c=11.889 alpha=90.00 beta=90.00 gamma=90.00
Space group P2_12_12_1 (No. 19)
One atom of each set of equivalent atoms:
Na 0.001 0.212 0.229 x4
Na 0.010 0.707 0.996 x4
Na 0.014 0.502 0.567 x4
Na 0.026 0.775 0.502 x4
Na 0.048 0.747 0.756 x4
Na 0.070 0.921 0.130 x4
Na 0.194 0.195 0.866 x4
Na 0.205 0.300 0.652 x4
Na 0.209 0.012 0.509 x4
Na 0.221 0.480 0.994 x4
Na 0.232 0.464 0.257 x4
Na 0.240 0.962 0.763 x4
Cu 0.001 0.991 0.354 x4
Cu 0.003 0.495 0.832 x4
Cu 0.230 0.237 0.099 x4
Cu 0.236 0.255 0.414 x4
O 0.114 0.113 0.669 x4
O 0.117 0.605 0.139 x4
O 0.118 0.120 0.068 x4
O 0.119 0.378 0.828 x4
O 0.120 0.879 0.335 x4
O 0.122 0.373 0.431 x4
O 0.144 0.860 0.914 x4
O 0.154 0.647 0.613 x4

Magnetization = 0.01 μB/cell


Least stable structure: arrangement one


Arrangement one

Here is a relaxed structure of Cr2HgS4 from the Materials Project. Energies are from PBE.

Unit cell a=6.031 b=3.584 c=6.887 alpha=90.00 beta=102.45 gamma=90.00
Space group P2/m (No. 10)
One atom of each set of equivalent atoms:
Cr 0.000 0.000 0.000 x1
Cr 0.500 0.500 0.000 x1
Hg 0.000 0.000 0.500 x1
S 0.209 0.500 0.193 x2
S 0.291 0.000 0.813 x2

Magnetization = 5.96 μB/cell


Arrangement two

Here is a relaxed structure of Cr2HgS4 from the Materials Project. Energies are from PBE.

Unit cell a=11.734 b=7.459 c=12.004 alpha=90.00 beta=90.00 gamma=90.00
Space group Pca2_1 (No. 29)
One atom of each set of equivalent atoms:
Cr 0.117 0.133 0.000 x4
Cr 0.129 0.644 0.626 x4
Cr 0.141 0.872 0.301 x4
Cr 0.156 0.374 0.245 x4
Hg 0.084 0.625 0.965 x4
Hg 0.120 0.118 0.633 x4
S 0.012 0.573 0.180 x4
S 0.020 0.067 0.434 x4
S 0.025 0.157 0.178 x4
S 0.041 0.679 0.445 x4
S 0.213 0.874 0.105 x4
S 0.228 0.623 0.800 x4
S 0.232 0.128 0.831 x4
S 0.242 0.383 0.074 x4

Magnetization = 48.00 μB/cell


Least stable structure: arrangement two